# 1
The following is a DFT calculation (PBE with a Hubbard U) of TiFe3O6 after structural relaxation.

Summary:
Space group ... P1
VASP energy ... -7.308 eV per atom
Energy above the lowest structure with this stoichiometry ... 0.059 eV per atom

a = 6.040 Å, b = 6.064 Å, c = 14.773 Å
α = 89.12°, β = 89.20°, γ = 60.22°
Element x y z (fractional)
Ti 0.000 0.000 0.000
Ti 0.009 0.511 0.480
Ti 0.498 0.492 0.000
Ti 0.642 0.658 0.320
Fe 0.153 0.158 0.324
Fe 0.318 0.834 0.163
Fe 0.324 0.329 0.662
Fe 0.324 0.818 0.792
Fe 0.328 0.839 0.533
Fe 0.646 0.152 0.834
Fe 0.665 0.156 0.448
Fe 0.669 0.154 0.205
Fe 0.824 0.830 0.661
Fe 0.826 0.327 0.660
Fe 0.981 0.489 0.122
Fe 0.994 0.507 0.872
O 0.018 0.009 0.245
O 0.133 0.160 0.070
O 0.138 0.185 0.578
O 0.141 0.662 0.575
O 0.160 0.664 0.067
O 0.293 0.327 0.413
O 0.314 0.815 0.920
O 0.341 0.351 0.909
O 0.349 0.837 0.407
O 0.488 0.982 0.254
O 0.505 0.992 0.748
O 0.509 0.512 0.252
O 0.512 0.473 0.746
O 0.642 0.638 0.073
O 0.673 0.154 0.590
O 0.674 0.174 0.061
O 0.680 0.653 0.582
O 0.815 0.320 0.915
O 0.826 0.797 0.414
O 0.835 0.359 0.408
O 0.846 0.849 0.910
O 0.972 0.004 0.743
O 0.973 0.495 0.249
O 0.980 0.505 0.740

# 2
The following is a DFT calculation (PBE with a Hubbard U) of Ti3Fe7O15 after structural relaxation.

Summary:
Space group ... Cc
VASP energy ... -7.513 eV per atom
Energy above the lowest structure with this stoichiometry ... 0.000 eV per atom

a = 5.512 Å, b = 5.512 Å, c = 21.484 Å
α = 94.43°, β = 94.43°, γ = 55.75°
Element x y z (fractional)
Ti 0.245 0.755 0.500
Ti 0.358 0.851 0.805
Ti 0.450 0.955 0.107
Ti 0.755 0.245 0.000
Ti 0.851 0.358 0.305
Ti 0.955 0.450 0.607
Fe 0.049 0.547 0.905
Fe 0.063 0.565 0.764
Fe 0.145 0.648 0.204
Fe 0.160 0.661 0.063
Fe 0.252 0.750 0.361
Fe 0.348 0.851 0.662
Fe 0.461 0.951 0.964
Fe 0.547 0.049 0.405
Fe 0.565 0.063 0.264
Fe 0.648 0.145 0.704
Fe 0.661 0.160 0.563
Fe 0.750 0.252 0.861
Fe 0.851 0.348 0.162
Fe 0.951 0.461 0.464
O 0.004 0.247 0.949
O 0.006 0.105 0.076
O 0.049 0.805 0.845
O 0.069 0.899 0.727
O 0.105 0.006 0.576
O 0.117 0.263 0.821
O 0.189 0.329 0.681
O 0.221 0.422 0.552
O 0.247 0.004 0.449
O 0.263 0.117 0.321
O 0.300 0.470 0.429
O 0.329 0.189 0.181
O 0.397 0.653 0.143
O 0.416 0.499 0.278
O 0.422 0.221 0.052
O 0.470 0.300 0.929
O 0.499 0.416 0.778
O 0.510 0.654 0.026
O 0.602 0.720 0.877
O 0.624 0.826 0.748
O 0.653 0.397 0.643
O 0.654 0.510 0.526
O 0.708 0.863 0.622
O 0.720 0.602 0.377
O 0.804 0.921 0.483
O 0.805 0.049 0.345
O 0.826 0.624 0.248
O 0.863 0.708 0.122
O 0.899 0.069 0.227
O 0.921 0.804 0.983

# 3
The following is a DFT calculation (PBE with a Hubbard U) of Ti3FeO7 after structural relaxation.

Summary:
Space group ... Imm2
VASP energy ... -8.347 eV per atom

a = 6.528 Å, b = 6.528 Å, c = 6.528 Å
α = 154.53°, β = 63.94°, γ = 122.45°
Element x y z (fractional)
Ti 0.000 0.000 0.000
Ti 0.460 0.208 0.252
Ti 0.956 0.208 0.748
Fe 0.476 0.976 0.500
O 0.084 0.691 0.393
O 0.084 0.902 0.183
O 0.298 0.691 0.607
O 0.373 0.530 0.844
O 0.686 0.530 0.156
O 0.719 0.902 0.817
O 0.802 0.302 0.500

# 4
The following is a DFT calculation (PBE with a Hubbard U) of Ti2Fe4O9 after structural relaxation.

Summary:
Space group ... P1
VASP energy ... -7.594 eV per atom
Energy above the lowest structure with this stoichiometry ... 0.014 eV per atom

a = 5.519 Å, b = 7.599 Å, c = 8.888 Å
α = 113.31°, β = 105.12°, γ = 95.85°
Element x y z (fractional)
Ti 0.000 0.000 0.000
Ti 0.002 0.505 0.997
Ti 0.315 0.816 0.655
Ti 0.673 0.160 0.329
Fe 0.066 0.457 0.329
Fe 0.086 0.954 0.331
Fe 0.320 0.321 0.654
Fe 0.415 0.283 0.992
Fe 0.418 0.779 0.994
Fe 0.653 0.655 0.323
Fe 0.729 0.615 0.658
Fe 0.744 0.114 0.661
O 0.064 0.266 0.437
O 0.092 0.269 0.084
O 0.097 0.287 0.787
O 0.298 0.987 0.880
O 0.321 0.002 0.194
O 0.345 0.016 0.578
O 0.380 0.567 0.083
O 0.430 0.614 0.752
O 0.438 0.633 0.471
O 0.628 0.318 0.548
O 0.653 0.330 0.868
O 0.659 0.332 0.222
O 0.752 0.929 0.775
O 0.759 0.965 0.427
O 0.785 0.969 0.121
O 0.964 0.643 0.210
O 0.980 0.669 0.545
O 0.980 0.680 0.895

Size of the total moment (Bohr magnetons per cell)
56.00 64.02 4.00 36.00
Energy of formation (eV/f.u.)
-20.98 -56.72 -32.09 -34.92